The following is a DFT calculation (PBE) of an optimized crystal structure of Fe5NiN4.

Results
E_form = -19 meV per atom
crystal system = orthorhombic
total magnetization = 0.08 μB/f.u.
corrected total energy (MP2020 scheme) = -163.3 eV per cell
uncorrected energy = -8.022 eV per atom
density = 7.02 Mg/m³

a = 5.684 Å, b = 7.040 Å, c = 4.657 Å
α = 90.00°, β = 90.00°, γ = 90.00°
Space group Pmmn (No. 59, origin choice 2)
Unique sites:
Fe 0.012 0.059 0.248 (multiplicity 8)
Fe 0.250 0.750 0.212 (multiplicity 2)
Ni 0.250 0.250 0.752 (multiplicity 2)
N 0.017 0.750 0.493 (multiplicity 4)
N 0.250 0.524 0.988 (multiplicity 4)